The following is a GGA+U calculation of crystalline Li4MnCo2O7 at its relaxed geometry, from the Materials Project database.

Calculated values
Calculated total energy = -5.84 eV/atom
Energy of formation from the pure elements = -1.848 eV per atom
Polymorph energy (0 for the lowest one) = 35.5 meV/atom
E (MP2020) = -6.5377 eV/atom
SG = P1 (1)

```
Li4MnCo2O7
1.0
5.0769 0.0000 0.0000
-1.6515 5.6820 0.0000
-0.7666 -0.3560 8.7182
Li O Co Mn
8 14 4 2
direct
0.1489 0.7880 0.2808
0.8639 0.2190 0.7164
0.7034 0.9302 0.4174
0.2842 0.0740 0.5707
0.9935 0.4922 0.0044
0.5722 0.1439 0.1419
0.5782 0.6482 0.1463
0.4308 0.3525 0.8634
0.0113 0.2730 0.5038
0.7269 0.1574 0.9268
0.0086 0.7344 0.5146
0.8738 0.9708 0.2023
0.8623 0.4572 0.2306
0.4202 0.1248 0.3580
0.4203 0.5989 0.3692
0.2582 0.2998 0.0691
0.1338 0.0242 0.7964
0.2732 0.8288 0.0546
0.5527 0.8676 0.6478
0.1524 0.5499 0.7717
0.7336 0.6993 0.9241
0.5635 0.4146 0.6345
0.7155 0.4229 0.4169
0.4292 0.8625 0.8670
0.8569 0.7155 0.7137
0.1478 0.2734 0.2831
0.0000 0.0058 0.0021
0.2847 0.5710 0.5721
```